# 1
# La4FeSe6O (PBE+U, optimized geometry)
# ΔE_f in kJ/mol of atoms: -192.74
# Total magnetic moment in μB per atom: 0.333
# Mass density in g/cm³: 6.2
# Uncorrected energy in eV/atom: -6.2639
# Total energy after the MP2020 corrections in Ry/atom: -0.478
data_La4FeSe6O
_chemical_formula_sum 'La8 Fe2 Se12 O2'
_symmetry_space_group_name_H-M 'P 1'
_symmetry_Int_Tables_number 1
_symmetry_space_group_name_Hall 'P 1'
_cell_length_a 9.7944
_cell_length_b 9.7944
_cell_length_c 7.1145
_cell_angle_alpha 90.00
_cell_angle_beta 90.00
_cell_angle_gamma 120.00
loop_
_atom_site_label
_atom_site_fract_x
_atom_site_fract_y
_atom_site_fract_z
La1 0.1994 0.3988 0.0000
La2 0.1994 0.8006 0.0000
La3 0.3333 0.6667 0.5483
La4 0.3988 0.1994 0.5000
La5 0.6012 0.8006 0.0000
La6 0.6667 0.3333 0.0483
La7 0.8006 0.1994 0.5000
La8 0.8006 0.6012 0.5000
Fe1 0.0000 0.0000 0.3324
Fe2 0.0000 0.0000 0.8324
Se1 0.0588 0.5294 0.2862
Se2 0.1232 0.2463 0.6043
Se3 0.1232 0.8768 0.6043
Se4 0.2463 0.1232 0.1043
Se5 0.4706 0.5294 0.2862
Se6 0.4706 0.9412 0.2862
Se7 0.5294 0.0588 0.7862
Se8 0.5294 0.4706 0.7862
Se9 0.7537 0.8768 0.6043
Se10 0.8768 0.1232 0.1043
Se11 0.8768 0.7537 0.1043
Se12 0.9412 0.4706 0.7862
O1 0.3333 0.6667 0.8835
O2 0.6667 0.3333 0.3835

# 2
# MgV4Ge4O16 (PBE+U, optimized geometry)
# ΔE_f in kJ/mol of atoms: -201.90
# Total magnetic moment in μB per atom: 0.175
# Mass density in g/cm³: 5.1
# Uncorrected energy in eV/atom: -6.8047
# Energy above the most stable polymorph in this dataset in eV per formula unit: 2.19
# Total energy after the MP2020 corrections in Ry/atom: -0.552
data_MgV4Ge4O16
_chemical_formula_sum 'Mg1 V4 Ge4 O16'
_symmetry_space_group_name_H-M 'P 1'
_symmetry_Int_Tables_number 1
_symmetry_space_group_name_Hall 'P 1'
_cell_length_a 4.5484
_cell_length_b 4.7683
_cell_length_c 11.5673
_cell_angle_alpha 90.02
_cell_angle_beta 90.14
_cell_angle_gamma 90.53
loop_
_atom_site_label
_atom_site_fract_x
_atom_site_fract_y
_atom_site_fract_z
Mg1 0.0000 0.0000 0.0000
V1 0.0038 0.0087 0.5033
V2 0.0037 0.5082 0.3693
V3 0.4921 0.5014 0.8665
V4 0.4999 0.0139 0.9982
Ge1 0.5028 0.0087 0.2591
Ge2 0.5057 0.5097 0.6143
Ge3 0.9968 0.5048 0.1254
Ge4 0.9974 0.9985 0.7473
O1 0.2269 0.8380 0.6230
O2 0.2323 0.3404 0.2467
O3 0.2344 0.8446 0.8697
O4 0.2369 0.3437 0.0071
O5 0.2522 0.8345 0.3716
O6 0.2533 0.3351 0.4953
O7 0.2678 0.8429 0.1272
O8 0.2821 0.3335 0.7388
O9 0.7273 0.6777 0.7376
O10 0.7424 0.1717 0.1294
O11 0.7517 0.6660 0.0041
O12 0.7533 0.1819 0.3721
O13 0.7532 0.6809 0.4945
O14 0.7609 0.1609 0.8709
O15 0.7727 0.6758 0.2464
O16 0.7799 0.1757 0.6234

# 3
# MgMn3O7 (PBE+U, optimized geometry)
# ΔE_f in kJ/mol of atoms: -167.04
# Total magnetic moment in μB per atom: 0.818
# Mass density in g/cm³: 3.7
# Uncorrected energy in eV/atom: -6.6321
# Total energy after the MP2020 corrections in Ry/atom: -0.553
data_MgMn3O7
_chemical_formula_sum 'Mg4 Mn12 O28'
_symmetry_space_group_name_H-M 'P 1'
_symmetry_Int_Tables_number 1
_symmetry_space_group_name_Hall 'P 1'
_cell_length_a 9.6107
_cell_length_b 10.3904
_cell_length_c 5.4565
_cell_angle_alpha 90.00
_cell_angle_beta 90.00
_cell_angle_gamma 90.00
loop_
_atom_site_label
_atom_site_fract_x
_atom_site_fract_y
_atom_site_fract_z
Mg1 0.0444 0.2500 0.1257
Mg2 0.4556 0.7500 0.6257
Mg3 0.5444 0.2500 0.3743
Mg4 0.9556 0.7500 0.8743
Mn1 0.2013 0.5283 0.7104
Mn2 0.2013 0.9717 0.7104
Mn3 0.2353 0.7500 0.2081
Mn4 0.2647 0.2500 0.7081
Mn5 0.2987 0.0283 0.2104
Mn6 0.2987 0.4717 0.2104
Mn7 0.7013 0.5283 0.7896
Mn8 0.7013 0.9717 0.7896
Mn9 0.7353 0.7500 0.2919
Mn10 0.7647 0.2500 0.7919
Mn11 0.7987 0.0283 0.2896
Mn12 0.7987 0.4717 0.2896
O1 0.0359 0.5902 0.7256
O2 0.0359 0.9098 0.7256
O3 0.0568 0.7500 0.1979
O4 0.2094 0.1221 0.9552
O5 0.2094 0.3779 0.9552
O6 0.2188 0.1178 0.4799
O7 0.2188 0.3822 0.4799
O8 0.2812 0.6178 0.9799
O9 0.2812 0.8822 0.9799
O10 0.2906 0.6221 0.4552
O11 0.2906 0.8779 0.4552
O12 0.4432 0.2500 0.6979
O13 0.4641 0.0902 0.2256
O14 0.4641 0.4098 0.2256
O15 0.5359 0.5902 0.7744
O16 0.5359 0.9098 0.7744
O17 0.5568 0.7500 0.3021
O18 0.7094 0.1221 0.5448
O19 0.7094 0.3779 0.5448
O20 0.7188 0.1178 0.0201
O21 0.7188 0.3822 0.0201
O22 0.7812 0.6178 0.5201
O23 0.7812 0.8822 0.5201
O24 0.7906 0.6221 0.0448
O25 0.7906 0.8779 0.0448
O26 0.9432 0.2500 0.8021
O27 0.9641 0.0902 0.2744
O28 0.9641 0.4098 0.2744

# 4
# Li4V3P8O29 (PBE+U, optimized geometry)
# ΔE_f in kJ/mol of atoms: -248.39
# Total magnetic moment in μB per atom: 0.023
# Mass density in g/cm³: 2.5
# Uncorrected energy in eV/atom: -7.0440
# Energy above the most stable polymorph in this dataset in eV per formula unit: 0.39
# Total energy after the MP2020 corrections in Ry/atom: -0.560
data_Li4V3P8O29
_chemical_formula_sum 'Li8 V6 P16 O58'
_symmetry_space_group_name_H-M 'P 1'
_symmetry_Int_Tables_number 1
_symmetry_space_group_name_Hall 'P 1'
_cell_length_a 9.7541
_cell_length_b 9.7864
_cell_length_c 14.2097
_cell_angle_alpha 89.86
_cell_angle_beta 89.96
_cell_angle_gamma 60.14
loop_
_atom_site_label
_atom_site_fract_x
_atom_site_fract_y
_atom_site_fract_z
Li1 0.0000 0.0000 0.0000
Li2 0.0052 0.4400 0.4945
Li3 0.1328 0.8434 0.4933
Li4 0.1409 0.4260 0.9965
Li5 0.2354 0.6684 0.8816
Li6 0.6010 0.9887 0.4981
Li7 0.6843 0.6714 0.3748
Li8 0.8262 0.7821 0.9510
V1 0.3455 0.3266 0.1882
V2 0.3450 0.7624 0.6871
V3 0.4777 0.7666 0.1832
V4 0.4788 0.1978 0.6914
V5 0.9083 0.3288 0.6927
V6 0.9119 0.1951 0.1897
P1 0.0010 0.4433 0.2800
P2 0.1392 0.4479 0.7800
P3 0.1417 0.8492 0.2781
P4 0.2247 0.6740 0.0975
P5 0.2261 0.5329 0.5976
P6 0.2405 0.0998 0.0682
P7 0.2425 0.0991 0.5707
P8 0.5752 0.4290 0.8082
P9 0.5783 0.4303 0.3056
P10 0.5929 0.9937 0.2822
P11 0.6012 0.8472 0.7769
P12 0.6811 0.6720 0.5960
P13 0.6875 0.0700 0.0992
P14 0.8249 0.0762 0.6008
P15 0.8269 0.5374 0.0986
P16 0.9975 0.9904 0.7834
O1 0.0026 0.1455 0.7643
O2 0.0098 0.2829 0.2604
O3 0.0927 0.2478 0.6145
O4 0.0941 0.0896 0.1099
O5 0.1188 0.7572 0.1899
O6 0.1229 0.5597 0.6938
O7 0.1344 0.7596 0.0102
O8 0.1382 0.5234 0.5153
O9 0.1421 0.5255 0.8708
O10 0.1439 0.7746 0.3685
O11 0.1662 0.8457 0.7742
O12 0.1689 0.4205 0.2731
O13 0.2247 0.1151 0.9640
O14 0.2305 0.2559 0.1104
O15 0.2378 0.1072 0.4660
O16 0.2416 0.9491 0.6098
O17 0.2483 0.5040 0.0993
O18 0.2491 0.6784 0.5966
O19 0.2943 0.2890 0.7651
O20 0.2940 0.8560 0.2574
O21 0.3824 0.6693 0.1087
O22 0.3861 0.3810 0.6165
O23 0.3905 0.9585 0.1096
O24 0.3934 0.0975 0.6117
O25 0.4215 0.5741 0.7705
O26 0.4303 0.1430 0.2571
O27 0.4363 0.4223 0.2556
O28 0.4468 0.8424 0.7687
O29 0.5257 0.2243 0.1077
O30 0.5318 0.6599 0.6163
O31 0.5652 0.0212 0.7667
O32 0.5759 0.8450 0.2756
O33 0.5788 0.5806 0.2706
O34 0.5808 0.2787 0.7605
O35 0.5810 0.4151 0.4092
O36 0.5822 0.4168 0.9121
O37 0.6539 0.6733 0.1032
O38 0.6555 0.0099 0.3736
O39 0.6545 0.1014 0.5995
O40 0.6691 0.7567 0.5053
O41 0.7018 0.7665 0.6812
O42 0.7019 0.7684 0.8589
O43 0.7068 0.9679 0.0178
O44 0.7087 0.9768 0.1970
O45 0.7235 0.4309 0.7622
O46 0.7291 0.2865 0.2573
O47 0.8180 0.2368 0.6177
O48 0.8257 0.1076 0.1011
O49 0.8297 0.5049 0.5992
O50 0.8339 0.3772 0.1076
O51 0.8991 0.9766 0.6973
O52 0.9025 0.5593 0.1959
O53 0.9144 0.5559 0.0179
O54 0.9156 0.5150 0.3703
O55 0.9197 0.9875 0.5181
O56 0.9253 0.9902 0.8754
O57 0.9960 0.4215 0.7725
O58 0.9969 0.0193 0.2676

# 5
# LiVF4 (PBE+U, optimized geometry)
# ΔE_f in kJ/mol of atoms: -306.46
# Total magnetic moment in μB per atom: 0.333
# Mass density in g/cm³: 2.7
# Uncorrected energy in eV/atom: -5.6934
# Energy above the most stable polymorph in this dataset in eV per formula unit: 0.26
# Total energy after the MP2020 corrections in Ry/atom: -0.462
data_LiVF4
_chemical_formula_sum 'Li1 V1 F4'
_symmetry_space_group_name_H-M 'P 1'
_symmetry_Int_Tables_number 1
_symmetry_space_group_name_Hall 'P 1'
_cell_length_a 5.4480
_cell_length_b 5.4480
_cell_length_c 6.4563
_cell_angle_alpha 124.34
_cell_angle_beta 124.34
_cell_angle_gamma 32.42
loop_
_atom_site_label
_atom_site_fract_x
_atom_site_fract_y
_atom_site_fract_z
Li1 0.0000 0.0000 0.0000
V1 0.5000 0.5000 0.5000
F1 0.1538 0.1538 0.6393
F2 0.4922 0.4922 0.1925
F3 0.5078 0.5078 0.8075
F4 0.8462 0.8462 0.3607

# 6
# FeOF (PBE+U, optimized geometry)
# ΔE_f in kJ/mol of atoms: -203.51
# Mass density in g/cm³: 4.4
# Piezoelectric modulus e_max in C/m2: 1.097
# Uncorrected energy in eV/atom: -6.0850
# Total energy after the MP2020 corrections in Ry/atom: -0.531
data_FeOF
_chemical_formula_sum 'Fe4 O4 F4'
_symmetry_space_group_name_H-M 'P 1'
_symmetry_Int_Tables_number 1
_symmetry_space_group_name_Hall 'P 1'
_cell_length_a 3.0953
_cell_length_b 6.6950
_cell_length_c 6.6917
_cell_angle_alpha 90.00
_cell_angle_beta 90.00
_cell_angle_gamma 90.00
loop_
_atom_site_label
_atom_site_fract_x
_atom_site_fract_y
_atom_site_fract_z
Fe1 0.0000 0.2282 0.0000
Fe2 0.0000 0.7718 0.5000
Fe3 0.5000 0.2361 0.5390
Fe4 0.5000 0.7639 0.0390
O1 0.0000 0.2592 0.7105
O2 0.0000 0.7408 0.2105
O3 0.5000 0.0543 0.0161
O4 0.5000 0.9457 0.5161
F1 0.0000 0.2589 0.3188
F2 0.0000 0.7411 0.8188
F3 0.5000 0.4455 0.0158
F4 0.5000 0.5545 0.5158

# 7
# Li6V2B4SO16 (PBE+U, optimized geometry)
# ΔE_f in kJ/mol of atoms: -242.47
# Total magnetic moment in μB per atom: 0.069
# Mass density in g/cm³: 2.6
# Uncorrected energy in eV/atom: -6.8320
# Total energy after the MP2020 corrections in Ry/atom: -0.539
data_Li6V2B4SO16
_chemical_formula_sum 'Li12 V4 B8 S2 O32'
_symmetry_space_group_name_H-M 'P 1'
_symmetry_Int_Tables_number 1
_symmetry_space_group_name_Hall 'P 1'
_cell_length_a 9.4606
_cell_length_b 9.4606
_cell_length_c 9.4606
_cell_angle_alpha 60.00
_cell_angle_beta 60.00
_cell_angle_gamma 60.00
loop_
_atom_site_label
_atom_site_fract_x
_atom_site_fract_y
_atom_site_fract_z
Li1 0.0955 0.0955 0.6545
Li2 0.0955 0.6545 0.0955
Li3 0.0955 0.6545 0.6545
Li4 0.3455 0.3455 0.9045
Li5 0.3455 0.9045 0.3455
Li6 0.3455 0.9045 0.9045
Li7 0.6545 0.0955 0.0955
Li8 0.6545 0.0955 0.6545
Li9 0.6545 0.6545 0.0955
Li10 0.9045 0.3455 0.3455
Li11 0.9045 0.3455 0.9045
Li12 0.9045 0.9045 0.3455
V1 0.0000 0.5000 0.5000
V2 0.5000 0.0000 0.5000
V3 0.5000 0.5000 0.0000
V4 0.5000 0.5000 0.5000
B1 0.2825 0.2825 0.2825
B2 0.2825 0.2825 0.6526
B3 0.2825 0.6526 0.2825
B4 0.3474 0.7175 0.7175
B5 0.6526 0.2825 0.2825
B6 0.7175 0.3474 0.7175
B7 0.7175 0.7175 0.3474
B8 0.7175 0.7175 0.7175
S1 0.1250 0.1250 0.1250
S2 0.8750 0.8750 0.8750
O1 0.0604 0.0604 0.0604
O2 0.0604 0.0604 0.3189
O3 0.0604 0.3189 0.0604
O4 0.1274 0.3016 0.4170
O5 0.1274 0.4170 0.6541
O6 0.1274 0.6541 0.3016
O7 0.3016 0.1274 0.6541
O8 0.3016 0.4170 0.1274
O9 0.3016 0.6541 0.4170
O10 0.3189 0.0604 0.0604
O11 0.3459 0.5830 0.6984
O12 0.3459 0.6984 0.8726
O13 0.3459 0.8726 0.5830
O14 0.4170 0.1274 0.3016
O15 0.4170 0.3016 0.6541
O16 0.4170 0.6541 0.1274
O17 0.5830 0.3459 0.8726
O18 0.5830 0.6984 0.3459
O19 0.5830 0.8726 0.6984
O20 0.6541 0.1274 0.4170
O21 0.6541 0.3016 0.1274
O22 0.6541 0.4170 0.3016
O23 0.6811 0.9396 0.9396
O24 0.6984 0.3459 0.5830
O25 0.6984 0.5830 0.8726
O26 0.6984 0.8726 0.3459
O27 0.8726 0.3459 0.6984
O28 0.8726 0.5830 0.3459
O29 0.8726 0.6984 0.5830
O30 0.9396 0.6811 0.9396
O31 0.9396 0.9396 0.6811
O32 0.9396 0.9396 0.9396

# 8
# MgTi4Fe2O10 (PBE+U, optimized geometry)
# ΔE_f in kJ/mol of atoms: -270.92
# Total magnetic moment in μB per atom: 0.589
# Mass density in g/cm³: 4.1
# Uncorrected energy in eV/atom: -7.9973
# Total energy after the MP2020 corrections in Ry/atom: -0.637
data_MgTi4Fe2O10
_chemical_formula_sum 'Mg1 Ti4 Fe2 O10'
_symmetry_space_group_name_H-M 'P 1'
_symmetry_Int_Tables_number 1
_symmetry_space_group_name_Hall 'P 1'
_cell_length_a 3.8042
_cell_length_b 10.1201
_cell_length_c 5.4741
_cell_angle_alpha 90.00
_cell_angle_beta 110.33
_cell_angle_gamma 90.00
loop_
_atom_site_label
_atom_site_fract_x
_atom_site_fract_y
_atom_site_fract_z
Mg1 0.0000 0.0000 0.0000
Ti1 0.3448 0.1901 0.6883
Ti2 0.3448 0.8099 0.6883
Ti3 0.5993 0.3165 0.1942
Ti4 0.5993 0.6835 0.1942
Fe1 0.2746 0.5000 0.5445
Fe2 0.6942 0.0000 0.3872
O1 0.1671 0.2968 0.3294
O2 0.1671 0.7032 0.3294
O3 0.2189 0.0000 0.4360
O4 0.4260 0.3651 0.8484
O5 0.4260 0.6349 0.8484
O6 0.5309 0.1272 0.0566
O7 0.5309 0.8728 0.0566
O8 0.6758 0.5000 0.3468
O9 0.8424 0.1531 0.6817
O10 0.8424 0.8469 0.6817